# 1
Density functional theory data (PBE) for crystalline RbNa3 at its relaxed geometry.

```
8
Lattice="4.168 -7.219 0.000 4.168 7.219 0.000 0.000 0.000 6.557" Properties=species:S:1:pos:R:3 pbc="T T T"
Na 4.168 5.005 1.639
Na 1.918 1.107 1.639
Na 6.418 -1.107 4.918
Na 1.918 -1.107 4.918
Na 4.168 -5.005 4.918
Na 6.418 1.107 1.639
Rb 4.168 -2.406 1.639
Rb 4.168 2.406 4.918
```

Results
Electronic total energy in eV/atom: -1.185
Space-group type: P6_3/mmc, No. 194
ρ in Mg/m³: 1.3
E_form in eV/atom: 0.052

***

# 2
Density functional theory data (PBE) for crystalline RbNaS at its relaxed geometry.

```
6
Lattice="-2.645 -0.244 3.920 1.587 -4.390 0.798 5.810 2.845 4.098" Properties=species:S:1:pos:R:3 pbc="T T T"
S -0.125 0.465 2.805
S 5.406 0.063 3.652
Na 0.000 0.000 0.000
Na -0.529 -2.317 2.359
Rb 2.832 -1.197 1.836
Rb 2.449 1.725 4.620
```

Results
Electronic total energy in eV/atom: -3.198
Space-group type: P4/nmm, No. 129
ρ in Mg/m³: 2.7
Energy with MP2020 corrections in eV/atom: -3.365
E_form in eV/atom: -1.219

***

# 3
Density functional theory data (PBE) for crystalline RbNa2Si17 at its relaxed geometry.

```
40
Lattice="0.000 7.410 7.410 7.410 0.000 7.410 7.410 7.410 0.000" Properties=species:S:1:pos:R:3 pbc="T T T"
Si 5.075 9.745 9.745
Si 8.260 6.560 3.636
Si 11.183 6.560 6.560
Si 7.479 4.555 10.265
Si 7.341 4.555 4.555
Si 5.075 5.075 5.075
Si 6.560 8.260 3.636
Si 8.780 8.780 13.450
Si 13.450 8.780 8.780
Si 10.265 10.265 7.341
Si 7.479 10.265 4.555
Si 8.260 8.260 11.183
Si 10.265 7.479 4.555
Si 4.555 7.479 10.265
Si 6.560 6.560 11.183
Si 6.560 11.183 6.560
Si 9.745 9.745 5.075
Si 4.555 7.341 4.555
Si 13.450 13.450 13.450
Si 3.636 8.260 6.560
Si 8.780 13.450 8.780
Si 3.636 6.560 8.260
Si 10.265 4.555 7.479
Si 7.341 10.265 10.265
Si 3.705 3.705 3.705
Si 4.555 4.555 7.341
Si 10.265 7.341 10.265
Si 8.260 3.636 6.560
Si 11.183 8.260 8.260
Si 8.260 11.183 8.260
Si 6.560 3.636 8.260
Si 9.745 5.075 9.745
Si 4.555 10.265 7.479
Si 0.000 0.000 0.000
Rb 11.115 11.115 11.115
Rb 7.410 7.410 7.410
Na 1.852 1.852 1.852
Na 5.557 5.557 1.852
Na 5.557 1.852 5.557
Na 1.852 5.557 5.557
```

Results
Total moment in μB/cell: 0.0
Electronic total energy in eV/atom: -4.831
Space-group type: Fd-3m, No. 227
ρ in Mg/m³: 2.5
Energy with MP2020 corrections in eV/atom: -4.771
E_form in eV/atom: 0.022

***

# 4
Density functional theory data (PBE) for crystalline NaRe3 at its relaxed geometry.

```
4
Lattice="-0.426 1.672 4.069 -2.338 3.697 0.636 -3.903 -0.181 2.066" Properties=species:S:1:pos:R:3 pbc="T T T"
Na 0.000 0.000 0.000
Re -1.667 1.297 1.693
Re -5.001 3.891 5.079
Re -3.334 2.594 3.386
```

Results
Total moment in μB/cell: 0.0
Electronic total energy in eV/atom: -8.856
Space-group type: Fm-3m, No. 225
ρ in Mg/m³: 15.8
E_form in eV/atom: 0.808

***

# 5
Density functional theory data (PBE) for crystalline Na2Re3Se6 at its relaxed geometry.

```
44
Lattice="5.066 8.439 0.000 -5.066 8.439 0.000 0.000 0.552 12.212" Properties=species:S:1:pos:R:3 pbc="T T T"
Se 0.459 12.887 5.201
Se -0.824 14.498 8.167
Se 0.965 11.147 8.453
Se 0.824 2.932 4.044
Se 1.521 10.244 12.027
Se 0.965 6.560 9.865
Se 1.521 7.463 6.291
Se 0.824 14.222 2.062
Se -0.965 6.284 3.759
Se 2.766 5.867 3.308
Se -1.521 7.186 0.185
Se 2.766 11.287 2.798
Se -0.459 13.163 11.307
Se -0.459 4.544 7.010
Se -2.766 11.563 8.903
Se 0.131 16.809 11.176
Se -0.131 16.533 5.071
Se 0.131 0.897 7.141
Se -2.766 6.144 9.414
Se -0.824 3.208 10.150
Se 0.459 4.267 0.904
Se -1.521 9.968 5.921
Se -0.131 0.621 1.035
Se -0.965 10.870 2.347
Re 1.864 12.382 10.647
Re -1.098 12.215 7.103
Re 1.510 2.981 6.482
Re 1.510 14.726 11.835
Re 1.098 5.216 5.109
Re 1.864 5.324 7.671
Re -1.098 5.492 11.215
Re -1.510 2.705 0.376
Re 1.098 11.939 0.997
Re -1.510 14.450 5.730
Re -1.864 12.106 4.541
Re -1.864 5.048 1.565
Na -2.759 6.661 6.198
Na -0.727 8.853 9.159
Na -2.900 8.577 3.053
Na 2.759 10.769 6.014
Na 2.900 8.853 9.159
Na 0.727 8.577 3.053
Na 2.759 6.385 0.092
Na -2.759 11.045 12.120
```

Results
Total moment in μB/cell: 0.0
Electronic total energy in eV/atom: -6.143
Space-group type: C2/c, No. 15
ρ in Mg/m³: 6.9
Energy with MP2020 corrections in eV/atom: -6.401
E_form in eV/atom: -0.860

***

# 6
Density functional theory data (PBE) for crystalline Na3Rh at its relaxed geometry.

```
16
Lattice="5.076 0.000 0.000 0.000 8.792 0.000 0.000 0.000 9.020" Properties=species:S:1:pos:R:3 pbc="T T T"
Na 3.807 4.059 5.400
Na 1.269 7.752 5.000
Na 1.269 8.455 8.131
Na 3.807 3.357 8.530
Na 3.807 6.667 7.133
Na 1.269 5.435 0.490
Na 1.269 2.271 6.398
Na 3.807 1.039 4.020
Na 3.807 0.337 0.890
Na 1.269 2.125 1.887
Na 3.807 6.520 2.623
Na 1.269 4.733 3.620
Rh 3.807 0.811 6.927
Rh 3.807 3.584 2.416
Rh 1.269 7.980 2.094
Rh 1.269 5.207 6.604
```

Results
Total moment in μB/cell: 0.0
Electronic total energy in eV/atom: -2.460
Space-group type: Pnma, No. 62
ρ in Mg/m³: 2.8
E_form in eV/atom: 0.373

***

# 7
Density functional theory data (PBE) for crystalline Na3Rh at its relaxed geometry.

```
4
Lattice="5.001 -1.824 0.733 0.464 -0.900 5.277 -3.779 -1.679 -3.432" Properties=species:S:1:pos:R:3 pbc="T T T"
Na 2.732 -1.362 3.005
Na 1.977 -2.432 0.154
Na -0.291 -1.970 2.425
Rh 0.000 0.000 0.000
```

Results
Total moment in μB/cell: 0.0
Electronic total energy in eV/atom: -2.476
Space-group type: I4/mmm, No. 139
ρ in Mg/m³: 3.2
E_form in eV/atom: 0.357

***

# 8
Density functional theory data (PBE) for crystalline Na3Rh at its relaxed geometry.

```
8
Lattice="3.179 -5.507 0.000 3.179 5.507 0.000 0.000 0.000 5.214" Properties=species:S:1:pos:R:3 pbc="T T T"
Na 4.666 0.977 1.303
Na 1.693 -0.977 3.910
Na 1.693 0.977 1.303
Na 4.666 -0.977 3.910
Na 3.179 -3.552 3.910
Na 3.179 3.552 1.303
Rh 3.179 1.836 3.910
Rh 3.179 -1.836 1.303
```

Results
Total moment in μB/cell: 0.0
Electronic total energy in eV/atom: -2.461
Space-group type: P6_3/mmc, No. 194
ρ in Mg/m³: 3.1
E_form in eV/atom: 0.372

***

# 9
Density functional theory data (PBE) for crystalline Na3Ru at its relaxed geometry.

```
16
Lattice="0.000 0.000 4.795 9.410 0.000 0.000 0.000 9.410 0.000" Properties=species:S:1:pos:R:3 pbc="T T T"
Na 9.106 6.566 2.397
Na 1.861 5.009 0.000
Na 3.556 3.556 2.397
Na 8.261 1.149 0.000
Na 5.854 5.854 2.397
Na 7.549 4.401 0.000
Na 1.149 8.261 0.000
Na 4.401 7.549 0.000
Na 0.304 2.844 2.397
Na 5.009 1.861 0.000
Na 6.566 9.106 2.397
Na 2.844 0.304 2.397
Ru 7.444 7.444 0.000
Ru 2.739 6.671 2.397
Ru 6.671 2.739 2.397
Ru 1.966 1.966 0.000
```

Results
Total moment in μB/cell: 5.9
Electronic total energy in eV/atom: -2.437
Space-group type: P4_2/mnm, No. 136
ρ in Mg/m³: 2.7
E_form in eV/atom: 0.873

***

# 10
Density functional theory data (PBE) for crystalline Na3Ru at its relaxed geometry.

```
8
Lattice="6.477 0.000 0.000 -3.239 5.609 0.000 0.000 0.000 5.335" Properties=species:S:1:pos:R:3 pbc="T T T"
Na -1.511 4.612 1.334
Na 1.511 4.612 1.334
Na 3.239 3.614 4.001
Na 1.728 0.998 4.001
Na 4.749 0.998 4.001
Na 0.000 1.995 1.334
Ru 0.000 3.740 4.001
Ru 3.239 1.870 1.334
```

Results
Total moment in μB/cell: 3.2
Electronic total energy in eV/atom: -2.477
Space-group type: P6_3/mmc, No. 194
ρ in Mg/m³: 2.9
E_form in eV/atom: 0.834